No. 1
Crystalline TmAl7Fe5 at its relaxed geometry, computed with meta-GGA r2SCAN.

Results
M_tot ... 0.799 μB per atom
Space-group type ... No. 44
Uncorrected energy ... -12.24 eV per atom

Cell: 6.608 6.602 6.599 Å, 135.75 98.13 98.19°
Element x y z (fractional)
Al1 0.226 0.500 0.726
Al2 0.787 0.291 0.497
Al3 0.206 0.710 0.496
Al4 0.664 0.657 0.007
Al5 0.661 0.000 0.661
Al6 0.340 0.000 0.340
Al7 0.350 0.343 0.007
Fe1 0.765 0.500 0.265
Fe2 0.001 0.000 0.502
Fe3 0.502 0.000 0.001
Fe4 0.001 0.499 0.001
Fe5 0.502 0.501 0.502
Tm1 0.995 0.000 0.995

---

No. 2
Crystalline TmAlFe at its relaxed geometry, computed with meta-GGA r2SCAN.

Results
M_tot ... 0.606 μB per atom
Space-group type ... No. 38
Uncorrected energy ... -19.07 eV per atom

Cell: 5.295 5.349 8.680 Å, 90.00 90.00 120.34°
Element x y z (fractional)
Tm1 0.667 0.334 0.554
Tm2 0.667 0.334 0.946
Tm3 0.338 0.669 0.426
Tm4 0.338 0.669 0.074
Fe1 0.669 0.834 0.750
Fe2 0.823 0.179 0.250
Fe3 0.346 0.173 0.250
Fe4 0.823 0.644 0.250
Al1 0.174 0.834 0.750
Al2 0.991 0.995 0.487
Al3 0.991 0.995 0.013
Al4 0.174 0.340 0.750